# 1
LuFe2 | PBE-GGA | relaxed

Unit cell a=5.0531 b=5.0531 c=5.0531 alpha=60.00 beta=60.00 gamma=60.00
Closest atoms and distances in Å follow each position.
Fractional positions:
Lu (0.5000, 0.5000, 0.5000)  12 Fe 2.96, 4 Lu 3.09
Lu (0.7500, 0.7500, 0.7500)  12 Fe 2.96, 4 Lu 3.09
Fe (0.1250, 0.1250, 0.1250)  6 Fe 2.53
Fe (0.6250, 0.1250, 0.1250)  6 Fe 2.53
Fe (0.1250, 0.6250, 0.1250)  6 Fe 2.53
Fe (0.1250, 0.1250, 0.6250)  6 Fe 2.53

Results
The calculated formation energy comes out at -175 meV/atom. The space group is Fd-3m (227). The density is 10.4 g/cm³.


# 2
Lu4Fe | PBE-GGA | relaxed

Unit cell a=7.2433 b=7.2433 c=7.2433 alpha=60.00 beta=60.00 gamma=60.00
Closest atoms and distances in Å follow each position.
Fractional positions:
Lu (0.3848, 0.3848, 0.3848)  1 Fe 2.39
Lu (0.3848, 0.3848, 0.8455)  1 Fe 2.39
Lu (0.3848, 0.8455, 0.3848)  1 Fe 2.39
Lu (0.8652, 0.8652, 0.4045)  1 Fe 2.39
Lu (0.8652, 0.8652, 0.8652)  1 Fe 2.39
Lu (0.8455, 0.3848, 0.3848)  1 Fe 2.39
Lu (0.8652, 0.4045, 0.8652)  1 Fe 2.39
Lu (0.4045, 0.8652, 0.8652)  1 Fe 2.39
Fe (0.0000, 0.0000, 0.0000)  4 Lu 2.39
Fe (0.2500, 0.2500, 0.2500)  4 Lu 2.39

Results
The calculated formation energy comes out at 435 meV/atom. The space group is Fd-3m (227). The density is 9.3 g/cm³.


# 3
LuFe10Mo2 | PBE-GGA | relaxed

Unit cell a=4.7212 b=6.4839 c=6.4839 alpha=97.35 beta=111.35 gamma=68.65
Closest atoms and distances in Å follow each position.
Fractional positions:
Lu (0.0000, 0.0000, 0.0000)  18 Fe 3.00-3.24, 2 Mo 3.05
Fe (0.5000, 0.0000, 0.5000)  8 Fe 2.36-2.61, 2 Mo 2.60
Fe (0.0000, 0.0000, 0.5000)  8 Fe 2.36-2.61, 2 Mo 2.60
Fe (0.5000, 0.5000, 0.0000)  8 Fe 2.36-2.61, 2 Mo 2.60
Fe (0.0000, 0.5000, 0.0000)  8 Fe 2.36-2.61, 2 Mo 2.60
Fe (0.7178, 0.7822, 0.2178)  8 Fe 2.46-2.65, 2 Mo 2.70
Fe (0.2822, 0.2178, 0.7822)  8 Fe 2.46-2.65, 2 Mo 2.70
Fe (0.5000, 0.7783, 0.7783)  8 Fe 2.45-2.67, 2 Mo 2.63
Fe (0.5000, 0.2217, 0.2217)  8 Fe 2.45-2.67, 2 Mo 2.63
Fe (0.6427, 0.3573, 0.6427)  9 Fe 2.43-2.67
Fe (0.3573, 0.6427, 0.3573)  9 Fe 2.43-2.67
Mo (0.0000, 0.3564, 0.3564)  1 Mo 2.46, 8 Fe 2.60-2.70
Mo (0.0000, 0.6436, 0.6436)  1 Mo 2.46, 8 Fe 2.60-2.70

Results
The calculated formation energy comes out at -20 meV/atom. The space group is Immm (71). The density is 8.9 g/cm³.


# 4
Lu12Fe2Pb3 | PBE-GGA | relaxed

Unit cell a=8.3486 b=8.3486 c=8.3486 alpha=110.02 beta=110.02 gamma=108.39
Closest atoms and distances in Å follow each position.
Fractional positions:
Lu (0.3096, 0.3096, 0.6192)  2 Fe 2.83
Lu (0.6904, 0.6904, 0.3808)  2 Fe 2.83
Lu (0.3096, 0.6904, 0.0000)  2 Fe 2.83
Lu (0.6904, 0.3096, 0.0000)  2 Fe 2.83
Lu (0.4583, 0.2122, 0.2461)  1 Fe 2.87, 2 Pb 3.14-3.20
Lu (0.5417, 0.7878, 0.7539)  1 Fe 2.87, 2 Pb 3.14-3.20
Lu (0.9662, 0.2122, 0.7539)  1 Fe 2.87, 2 Pb 3.14-3.20
Lu (0.2122, 0.9662, 0.7539)  1 Fe 2.87, 2 Pb 3.14-3.20
Lu (0.0338, 0.7878, 0.2461)  1 Fe 2.87, 2 Pb 3.14-3.20
Lu (0.7878, 0.0338, 0.2461)  1 Fe 2.87, 2 Pb 3.14-3.20
Lu (0.2122, 0.4583, 0.2461)  1 Fe 2.87, 2 Pb 3.14-3.20
Lu (0.7878, 0.5417, 0.7539)  1 Fe 2.87, 2 Pb 3.14-3.20
Fe (0.3808, 0.3808, 0.0000)  1 Fe 2.33
Fe (0.6192, 0.6192, 0.0000)  1 Fe 2.33
Pb (0.0000, 0.0000, 0.0000)  8 Lu 3.14
Pb (0.5000, 0.0000, 0.5000)  8 Lu 3.20-3.48
Pb (0.0000, 0.5000, 0.5000)  8 Lu 3.20-3.48

Results
The calculated formation energy comes out at -235 meV/atom. The space group is I4/mmm (139). The density is 10.5 g/cm³.


# 5
Lu2FeS4 | PBE-GGA | relaxed

Unit cell a=7.6381 b=7.6381 c=7.6381 alpha=60.00 beta=60.00 gamma=60.00
Closest atoms and distances in Å follow each position.
Fractional positions:
Lu (0.6250, 0.1250, 0.1250)  6 S 2.68
Lu (0.1250, 0.1250, 0.1250)  6 S 2.68
Lu (0.1250, 0.6250, 0.1250)  6 S 2.68
Lu (0.1250, 0.1250, 0.6250)  6 S 2.68
Fe (0.5000, 0.5000, 0.5000)  4 S 2.37
Fe (0.7500, 0.7500, 0.7500)  4 S 2.37
S (0.3731, 0.3731, 0.3731)  1 Fe 2.37
S (0.3693, 0.8769, 0.8769)  1 Fe 2.37
S (0.8769, 0.8769, 0.3693)  1 Fe 2.37
S (0.8769, 0.3693, 0.8769)  1 Fe 2.37
S (0.3731, 0.3731, 0.8807)  1 Fe 2.37
S (0.3731, 0.8807, 0.3731)  1 Fe 2.37
S (0.8769, 0.8769, 0.8769)  1 Fe 2.37
S (0.8807, 0.3731, 0.3731)  1 Fe 2.37

Results
The calculated formation energy comes out at -1772 meV/atom. The space group is Fd-3m (227). The energy above the most stable polymorph in this dataset comes out at 0.0 meV per atom. The density is 5.6 g/cm³.


# 6
Lu2FeS4 | PBE-GGA | relaxed

Unit cell a=7.7542 b=7.5953 c=30.2494 alpha=59.75 beta=60.27 gamma=60.58
Closest atoms and distances in Å follow each position.
Fractional positions:
Lu (0.4928, 0.4965, 0.0035)  6 S 2.58-2.79
Lu (0.5006, 0.5059, 0.1197)  6 S 2.57-2.81
Lu (0.4486, 0.0181, 0.2538)  5 S 2.54-2.77
Lu (0.5007, 0.0143, 0.1198)  6 S 2.57-2.81
Lu (0.5058, 0.4909, 0.2531)  6 S 2.57-2.71
Lu (0.5039, 0.4899, 0.3770)  6 S 2.58-2.75
Lu (0.0164, 0.5000, 0.1209)  4 S 2.55-2.68
Lu (0.4972, 0.9873, 0.5033)  6 S 2.63-2.73, 2 Fe 2.80
Lu (0.0050, 0.5026, 0.6228)  6 S 2.66-2.74
Lu (0.5040, 0.9975, 0.3769)  6 S 2.58-2.75
Lu (0.5043, 0.0098, 0.7470)  6 S 2.64-2.70, 2 Fe 2.77-2.78
Lu (0.9937, 0.4946, 0.3789)  6 S 2.67-2.79
Lu (0.0063, 0.4982, 0.8747)  6 S 2.56-2.80
Lu (0.5015, 0.0053, 0.6234)  6 S 2.62-2.74
Lu (0.4947, 0.4945, 0.8762)  6 S 2.57-2.79
Lu (0.4950, 0.0056, 0.8764)  6 S 2.57-2.79
Fe (0.0583, 0.1271, 0.5446)  3 S 2.24-2.37
Fe (0.9170, 0.8641, 0.2136)  4 S 2.28-2.46
Fe (0.0704, 0.1422, 0.7860)  4 S 2.28-2.46
Fe (0.5006, 0.4996, 0.6240)  2 S 2.35-2.49
Fe (0.9360, 0.8631, 0.4596)  3 S 2.20-2.35
Fe (0.5030, 0.4979, 0.7475)  5 S 2.42-2.68
Fe (0.9407, 0.8649, 0.7099)  4 S 2.32-2.51
Fe (0.8813, 0.8736, 0.9678)  4 S 2.35-2.39
S (0.2506, 0.2556, 0.0641)  3 Lu 2.55-2.61
S (0.2511, 0.2524, 0.1861)  4 Lu 2.54-2.72
S (0.2502, 0.7379, 0.0640)  3 Lu 2.55-2.61
S (0.7324, 0.2579, 0.0629)  3 Lu 2.57-2.58
S (0.2748, 0.7382, 0.1871)  1 Fe 2.28
S (0.2514, 0.2531, 0.3160)  4 Lu 2.63-2.69
S (0.2423, 0.2431, 0.4425)  1 Fe 2.54, 4 Lu 2.70-2.75
S (0.7361, 0.2398, 0.1907)  1 Fe 2.37
S (0.2511, 0.7314, 0.3161)  4 Lu 2.63-2.69
S (0.7559, 0.7456, 0.0632)  1 Fe 2.35
S (0.7255, 0.2536, 0.3167)  3 Lu 2.57-2.58
S (0.7364, 0.7611, 0.1907)  1 Fe 2.37
S (0.2795, 0.7376, 0.4361)  1 Fe 2.20
S (0.2410, 0.2364, 0.5648)  1 Fe 2.37
S (0.7563, 0.2323, 0.4385)  1 Fe 2.33
S (0.2484, 0.2536, 0.6875)  2 Fe 2.46-2.69, 3 Lu 2.68-2.73
S (0.2400, 0.7584, 0.5670)  1 Fe 2.33
S (0.7438, 0.7525, 0.3126)  1 Fe 2.46, 2 Lu 2.71
S (0.7586, 0.7563, 0.4378)  1 Fe 2.35
S (0.7087, 0.2791, 0.5702)  2 Fe 2.24-2.35
S (0.3026, 0.7089, 0.6863)  3 Fe 2.32-2.49
S (0.2516, 0.2530, 0.8091)  2 Fe 2.43-2.68, 1 Lu 2.66
S (0.7495, 0.2538, 0.6875)  3 Fe 2.46-2.72, 2 Lu 2.64-2.73
S (0.2534, 0.2618, 0.9308)  3 Lu 2.56-2.57
S (0.2544, 0.7597, 0.8081)  1 Fe 2.42, 1 Lu 2.70
S (0.7525, 0.7496, 0.5613)  2 Fe 2.54-2.71, 3 Lu 2.65-2.72
S (0.7490, 0.7481, 0.6881)  2 Fe 2.51-2.68, 3 Lu 2.69-2.74
S (0.7142, 0.2784, 0.8072)  2 Fe 2.28-2.44
S (0.2553, 0.7514, 0.9354)  1 Fe 2.38, 2 Lu 2.67
S (0.7530, 0.2576, 0.9345)  1 Fe 2.39, 1 Lu 2.67
S (0.7499, 0.7566, 0.8094)  1 Fe 2.49, 1 Lu 2.68
S (0.7528, 0.7515, 0.9346)  1 Fe 2.39, 2 Lu 2.67

Results
The calculated formation energy comes out at -1693 meV/atom. The space group is P1 (1). The energy above the most stable polymorph in this dataset comes out at 78.8 meV per atom. The density is 5.6 g/cm³.


- What is the calculated formation energy in the second record?
  435 meV/atom


- What is the formula in the third record?
  LuFe10Mo2